Material: Ce2Cu3Ge3
Method: DFT, GGA-PBE
State: relaxed

Output
Its space group is Amm2. The formation energy comes out at -0.43 eV/atom. The crystal system is orthorhombic. As for the mass density: 7.59 g cm⁻³.

a b c (Å): 8.825 8.825 4.159
angles (deg): 90.00 90.00 152.28
Sites, in units of the cell vectors:
Ce (0.165, 0.835, 0.500)
Ce (0.377, 0.623, 0.000)
Cu (0.593, 0.407, 0.000)
Cu (0.798, 0.202, 0.500)
Cu (0.016, 0.984, 0.000)
Ge (0.733, 0.267, 0.000)
Ge (0.934, 0.066, 0.500)
Ge (0.523, 0.477, 0.500)

---

Material: Ce3Cu4Ge4
Method: DFT, GGA-PBE
State: relaxed

Output
Its space group is Immm. The formation energy comes out at -0.55 eV/atom. The crystal system is orthorhombic. As for the mass density: 7.79 g cm⁻³.

a b c (Å): 8.122 8.122 8.122
angles (deg): 148.88 131.53 58.73
Sites, in units of the cell vectors:
Cu (0.854, 0.667, 0.187)
Cu (0.146, 0.333, 0.813)
Cu (0.521, 0.333, 0.187)
Cu (0.479, 0.667, 0.813)
Ge (0.284, 0.784, 0.500)
Ge (0.809, 0.500, 0.309)
Ge (0.191, 0.500, 0.691)
Ge (0.716, 0.216, 0.500)
Ce (0.500, 0.000, 0.500)
Ce (0.868, 0.868, 0.000)
Ce (0.132, 0.132, 0.000)

---

Material: CeCu2Ge2
Method: DFT, GGA-PBE
State: relaxed

Output
Its space group is I4/mmm. The formation energy comes out at -0.50 eV/atom. The crystal system is tetragonal. As for the mass density: 7.77 g cm⁻³.

a b c (Å): 5.894 5.894 5.894
angles (deg): 138.73 138.73 59.78
Sites, in units of the cell vectors:
Ce (0.000, 0.000, 0.000)
Cu (0.250, 0.750, 0.500)
Cu (0.750, 0.250, 0.500)
Ge (0.622, 0.622, 0.000)
Ge (0.378, 0.378, 0.000)

---

Material: CeCu2SiGe
Method: DFT, GGA-PBE
State: relaxed

Output
Its space group is I4mm. The formation energy comes out at -0.54 eV/atom. The crystal system is tetragonal. As for the mass density: 7.18 g cm⁻³.

a b c (Å): 5.784 5.784 5.784
angles (deg): 138.18 138.18 60.63
Sites, in units of the cell vectors:
Ge (0.382, 0.382, 0.000)
Si (0.625, 0.625, 0.000)
Ce (0.002, 0.002, 0.000)
Cu (0.246, 0.746, 0.500)
Cu (0.746, 0.246, 0.500)

---

Material: Ce2InCu2
Method: DFT, GGA-PBE
State: relaxed

Output
Its space group is P4/mbm. The formation energy comes out at 0.08 eV/atom. The crystal system is tetragonal. As for the mass density: 7.83 g cm⁻³.

a b c (Å): 8.380 8.380 3.155
angles (deg): 90.00 90.00 90.00
Sites, in units of the cell vectors:
Ce (0.379, 0.121, 0.000)
Ce (0.621, 0.879, 0.000)
Ce (0.121, 0.621, 0.000)
Ce (0.879, 0.379, 0.000)
In (0.500, 0.500, 0.000)
In (0.000, 0.000, 0.000)
Cu (0.169, 0.331, 0.500)
Cu (0.669, 0.169, 0.500)
Cu (0.831, 0.669, 0.500)
Cu (0.331, 0.831, 0.500)

---

Material: Ce2In3Cu
Method: DFT, GGA-PBE
State: relaxed

Output
Its space group is Pmm2. The formation energy comes out at -0.30 eV/atom. The crystal system is orthorhombic. As for the mass density: 7.60 g cm⁻³.

a b c (Å): 3.689 4.844 8.413
angles (deg): 90.04 90.00 90.00
Sites, in units of the cell vectors:
Ce (0.000, 0.000, 0.013)
Ce (0.000, 0.500, 0.492)
In (0.500, 0.500, 0.836)
In (0.500, 0.500, 0.180)
In (0.500, 0.000, 0.649)
Cu (0.500, 0.000, 0.329)

---

Material: Ce2InCu2
Method: DFT, GGA-PBE
State: relaxed

Output
Its space group is P4/mbm. The formation energy comes out at -0.24 eV/atom. The crystal system is tetragonal. As for the mass density: 7.79 g cm⁻³.

a b c (Å): 7.655 7.655 3.799
angles (deg): 90.00 90.00 90.00
Sites, in units of the cell vectors:
Cu (0.618, 0.882, 0.000)
Cu (0.118, 0.618, 0.000)
Cu (0.882, 0.382, 0.000)
Cu (0.382, 0.118, 0.000)
Ce (0.321, 0.821, 0.500)
Ce (0.179, 0.321, 0.500)
Ce (0.821, 0.679, 0.500)
Ce (0.679, 0.179, 0.500)
In (0.500, 0.500, 0.000)
In (0.000, 0.000, 0.000)

---

Material: CeInCu2
Method: DFT, GGA-PBE
State: relaxed

Output
Its space group is Fm-3m. The formation energy comes out at -0.25 eV/atom. The crystal system is cubic. As for the mass density: 8.26 g cm⁻³.

a b c (Å): 4.771 4.771 4.771
angles (deg): 60.00 60.00 60.00
Sites, in units of the cell vectors:
Cu (0.250, 0.250, 0.250)
Cu (0.750, 0.750, 0.750)
In (0.500, 0.500, 0.500)
Ce (0.000, 0.000, 0.000)